No. 1
This record from Materials Project describes a relaxed La9Ni5O19 crystal. The functional is PBE+U. Values from VASP.

Computed properties:
SG ... Fmm2, No. 42
Energy ... -7.224 eV/atom
Energy of formation from the pure elements ... -2934 meV per atom
Total magnetic moment ... 9.063 μB/cell

```
&SYSTEM
  ibrav = 0, nat = 33, ntyp = 3
/
ATOMIC_SPECIES
La 138.91 La.upf
Ni 58.69 Ni.upf
O 16.00 O.upf
ATOMIC_POSITIONS crystal
La 0.597 0.403 0.597
La 0.234 0.944 0.056
La 0.561 0.839 0.161
La 0.970 0.238 0.762
La 0.841 0.562 0.438
La 0.161 0.439 0.561
La 0.438 0.159 0.841
La 0.056 0.766 0.234
La 0.762 0.030 0.970
Ni 0.591 0.610 0.390
Ni 0.993 0.007 0.993
Ni 0.207 0.193 0.807
Ni 0.807 0.793 0.207
Ni 0.390 0.409 0.591
O 0.156 0.844 0.156
O 0.279 0.827 0.695
O 0.418 0.882 0.620
O 0.801 0.305 0.173
O 0.440 0.794 0.206
O 0.920 0.380 0.118
O 0.770 0.397 0.603
O 0.992 0.508 0.992
O 0.633 0.981 0.019
O 0.019 0.367 0.633
O 0.492 0.008 0.492
O 0.392 0.034 0.966
O 0.118 0.582 0.920
O 0.966 0.608 0.392
O 0.173 0.721 0.801
O 0.620 0.080 0.418
O 0.206 0.560 0.440
O 0.695 0.199 0.279
O 0.603 0.230 0.770
CELL_PARAMETERS angstrom
8.312 -8.956 9.284
10.712 -2.588 9.085
-3.904 -3.339 4.468
```

=====

No. 2
This record from Materials Project describes a relaxed La2NiO4 crystal. The functional is PBE+U. Values from VASP.

Computed properties:
SG ... Cm, No. 8
Energy ... -7.374 eV/atom
Energy of formation from the pure elements ... -3066 meV per atom
Total magnetic moment ... 0.000 μB/cell
Relative energy among the computed polymorphs ... 1.9 meV/atom

```
&SYSTEM
  ibrav = 0, nat = 14, ntyp = 3
/
ATOMIC_SPECIES
La 138.91 La.upf
Ni 58.69 Ni.upf
O 16.00 O.upf
ATOMIC_POSITIONS crystal
La 0.637 0.985 0.726
La 0.363 0.015 0.274
La 0.137 0.515 0.726
La 0.863 0.485 0.274
Ni 0.499 0.500 0.001
Ni 0.000 0.000 0.000
O 0.234 0.750 0.032
O 0.266 0.250 0.968
O 0.766 0.250 0.968
O 0.734 0.750 0.032
O 0.821 0.063 0.359
O 0.180 0.937 0.641
O 0.321 0.437 0.359
O 0.680 0.563 0.641
CELL_PARAMETERS angstrom
-4.118 3.474 -1.162
-0.111 -1.918 -5.341
-6.191 -2.610 1.066
```

=====

No. 3
This record from Materials Project describes a relaxed La8Ni4O17 crystal. The functional is PBE+U. Values from VASP.

Computed properties:
SG ... P1, No. 1
Energy ... -7.276 eV/atom
Energy of formation from the pure elements ... -2970 meV per atom
Total magnetic moment ... 6.000 μB/cell
Relative energy among the computed polymorphs ... 3.1 meV/atom

```
&SYSTEM
  ibrav = 0, nat = 29, ntyp = 3
/
ATOMIC_SPECIES
La 138.91 La.upf
Ni 58.69 Ni.upf
O 16.00 O.upf
ATOMIC_POSITIONS crystal
La 0.717 0.910 0.828
La 0.707 0.410 0.825
La 0.280 0.838 0.673
La 0.275 0.336 0.682
La 0.724 0.661 0.313
La 0.713 0.163 0.322
La 0.286 0.091 0.177
La 0.289 0.583 0.186
Ni 0.995 0.248 0.505
Ni 0.993 0.751 0.501
Ni 0.001 0.997 0.002
Ni 0.005 0.505 0.994
O 0.341 0.981 0.918
O 0.343 0.476 0.845
O 0.969 0.130 0.761
O 0.971 0.628 0.754
O 0.658 0.296 0.575
O 0.654 0.792 0.587
O 0.010 0.998 0.499
O 0.344 0.172 0.481
O 0.341 0.710 0.413
O 0.011 0.500 0.491
O 0.010 0.370 0.247
O 0.663 0.980 0.087
O 0.492 0.314 0.127
O 0.665 0.601 0.088
O 0.983 0.880 0.255
O 0.054 0.742 0.990
O 0.975 0.254 0.007
CELL_PARAMETERS angstrom
4.218 -5.258 1.485
5.277 -0.301 -5.727
8.096 2.668 1.936
```

=====

No. 4
This record from Materials Project describes a relaxed La15Ni8O32 crystal. The functional is PBE+U. Values from VASP.

Computed properties:
SG ... Cm, No. 8
Energy ... -7.256 eV/atom
Energy of formation from the pure elements ... -2960 meV per atom
Total magnetic moment ... 13.000 μB/cell

```
&SYSTEM
  ibrav = 0, nat = 55, ntyp = 3
/
ATOMIC_SPECIES
La 138.91 La.upf
Ni 58.69 Ni.upf
O 16.00 O.upf
ATOMIC_POSITIONS crystal
La 0.845 0.845 0.058
La 0.464 0.966 0.292
La 0.210 0.718 0.787
La 0.276 0.786 0.211
La 0.029 0.547 0.702
La 0.591 0.591 0.542
La 0.661 0.661 0.961
La 0.966 0.464 0.292
La 0.410 0.410 0.462
La 0.341 0.341 0.041
La 0.786 0.276 0.211
La 0.718 0.210 0.787
La 0.086 0.086 0.545
La 0.547 0.029 0.702
La 0.161 0.161 0.958
Ni 0.376 0.876 0.755
Ni 0.753 0.753 0.508
Ni 0.500 0.500 0.001
Ni 0.125 0.628 0.261
Ni 0.251 0.251 0.503
Ni 0.001 0.001 0.008
Ni 0.876 0.376 0.755
Ni 0.628 0.125 0.261
O 0.963 0.963 0.759
O 0.071 0.806 0.110
O 0.420 0.919 0.013
O 0.676 0.939 0.364
O 0.701 0.701 0.246
O 0.782 0.782 0.795
O 0.326 0.832 0.486
O 0.939 0.676 0.364
O 0.311 0.563 0.123
O 0.190 0.647 0.514
O 0.190 0.938 0.876
O 0.561 0.812 0.623
O 0.083 0.580 0.977
O 0.563 0.311 0.123
O 0.457 0.457 0.742
O 0.919 0.420 0.013
O 0.812 0.561 0.623
O 0.543 0.543 0.268
O 0.435 0.689 0.875
O 0.187 0.438 0.371
O 0.061 0.313 0.623
O 0.647 0.190 0.514
O 0.832 0.326 0.486
O 0.295 0.295 0.762
O 0.689 0.435 0.875
O 0.209 0.209 0.232
O 0.438 0.187 0.371
O 0.806 0.071 0.110
O 0.938 0.190 0.876
O 0.056 0.056 0.240
O 0.313 0.061 0.623
O 0.580 0.083 0.977
CELL_PARAMETERS angstrom
-11.469 2.302 0.684
-8.430 -8.114 -0.640
-1.415 -1.258 6.650
```

=====

No. 5
This record from Materials Project describes a relaxed La3Ni4P4O2 crystal. The functional is PBE+U. Values from VASP.

Computed properties:
SG ... I4/mmm, No. 139
Energy ... -5.533 eV/atom
Energy of formation from the pure elements ... -1076 meV per atom
Total magnetic moment ... 0.002 μB/cell

```
&SYSTEM
  ibrav = 0, nat = 13, ntyp = 4
/
ATOMIC_SPECIES
La 138.91 La.upf
Ni 58.69 Ni.upf
P 30.97 P.upf
O 16.00 O.upf
ATOMIC_POSITIONS crystal
La 0.298 0.298 0.000
La 0.702 0.702 0.000
La 0.000 0.000 0.000
Ni 0.593 0.093 0.500
Ni 0.407 0.907 0.500
Ni 0.093 0.593 0.500
Ni 0.907 0.407 0.500
P 0.131 0.131 0.000
P 0.869 0.869 0.000
P 0.450 0.450 0.000
P 0.550 0.550 0.000
O 0.750 0.250 0.500
O 0.250 0.750 0.500
CELL_PARAMETERS angstrom
5.929 8.140 8.683
0.555 9.945 8.809
-3.805 -10.867 -6.651
```

=====

No. 6
This record from Materials Project describes a relaxed La2NiP2O crystal. The functional is PBE+U. Values from VASP.

Computed properties:
SG ... P4/mmm, No. 123
Energy ... -4.708 eV/atom
Energy of formation from the pure elements ... -8 meV per atom
Total magnetic moment ... 1.025 μB/cell

```
&SYSTEM
  ibrav = 0, nat = 6, ntyp = 4
/
ATOMIC_SPECIES
La 138.91 La.upf
Ni 58.69 Ni.upf
P 30.97 P.upf
O 16.00 O.upf
ATOMIC_POSITIONS crystal
La 0.500 0.500 0.148
La 0.500 0.500 0.852
Ni 0.500 0.500 0.500
P 0.500 0.500 0.647
P 0.500 0.500 0.353
O 0.500 0.500 0.000
CELL_PARAMETERS angstrom
-2.043 -1.198 2.397
-2.313 -0.735 -2.338
5.753 -13.017 -1.601
```

=====

No. 7
This record from Materials Project describes a relaxed LaNiPO crystal. The functional is PBE+U. Values from VASP.

Computed properties:
SG ... P4/nmm, No. 129
Energy ... -6.107 eV/atom
Energy of formation from the pure elements ... -1645 meV per atom
Total magnetic moment ... 0.005 μB/cell

```
&SYSTEM
  ibrav = 0, nat = 8, ntyp = 4
/
ATOMIC_SPECIES
La 138.91 La.upf
Ni 58.69 Ni.upf
P 30.97 P.upf
O 16.00 O.upf
ATOMIC_POSITIONS crystal
La 0.000 0.500 0.847
La 0.500 0.000 0.153
Ni 0.000 0.000 0.500
Ni 0.500 0.500 0.500
P 0.000 0.500 0.385
P 0.500 0.000 0.615
O 0.000 0.000 0.000
O 0.500 0.500 0.000
CELL_PARAMETERS angstrom
4.080 0.000 0.000
0.000 4.080 0.000
0.000 0.000 8.016
```

=====

No. 8
This record from Materials Project describes a relaxed La4ReNi3O12 crystal. The functional is PBE+U. Values from VASP.

Computed properties:
SG ... P4/mmm, No. 123
Energy ... -7.268 eV/atom
Energy of formation from the pure elements ... -2616 meV per atom

```
&SYSTEM
  ibrav = 0, nat = 20, ntyp = 4
/
ATOMIC_SPECIES
La 138.91 La.upf
Re 186.21 Re.upf
Ni 58.69 Ni.upf
O 16.00 O.upf
ATOMIC_POSITIONS crystal
La 0.500 0.000 0.719
La 0.000 0.500 0.281
La 0.500 0.000 0.281
La 0.000 0.500 0.719
Re 0.500 0.500 0.000
Ni 0.000 0.000 0.000
Ni 0.500 0.500 0.500
Ni 0.000 0.000 0.500
O 0.000 0.000 0.752
O 0.500 0.500 0.244
O 0.748 0.748 0.500
O 0.258 0.258 0.000
O 0.748 0.252 0.500
O 0.258 0.742 0.000
O 0.000 0.000 0.248
O 0.500 0.500 0.756
O 0.252 0.252 0.500
O 0.742 0.742 0.000
O 0.252 0.748 0.500
O 0.742 0.258 0.000
CELL_PARAMETERS angstrom
-3.697 0.575 4.094
1.275 -5.066 1.863
5.742 3.188 4.738
```

=====

No. 9
This record from Materials Project describes a relaxed La2ReNiO6 crystal. The functional is PBE+U. Values from VASP.

Computed properties:
SG ... Fm-3m, No. 225
Energy ... -7.715 eV/atom
Energy of formation from the pure elements ... -2603 meV per atom
Total magnetic moment ... 4.991 μB/cell

```
&SYSTEM
  ibrav = 0, nat = 10, ntyp = 4
/
ATOMIC_SPECIES
La 138.91 La.upf
Re 186.21 Re.upf
Ni 58.69 Ni.upf
O 16.00 O.upf
ATOMIC_POSITIONS crystal
La 0.250 0.250 0.250
La 0.750 0.750 0.750
Re 0.500 0.500 0.500
Ni 0.000 0.000 0.000
O 0.750 0.750 0.250
O 0.250 0.750 0.250
O 0.750 0.250 0.250
O 0.250 0.250 0.750
O 0.750 0.250 0.750
O 0.250 0.750 0.750
CELL_PARAMETERS angstrom
0.000 3.984 3.984
3.984 0.000 3.984
3.984 3.984 0.000
```

=====

No. 10
This record from Materials Project describes a relaxed La2NiRuO6 crystal. The functional is PBE+U. Values from VASP.

Computed properties:
SG ... P2_1/c, No. 14
Energy ... -7.428 eV/atom
Energy of formation from the pure elements ... -2633 meV per atom
Total magnetic moment ... 8.001 μB/cell

```
&SYSTEM
  ibrav = 0, nat = 20, ntyp = 4
/
ATOMIC_SPECIES
La 138.91 La.upf
Ni 58.69 Ni.upf
Ru 101.07 Ru.upf
O 16.00 O.upf
ATOMIC_POSITIONS crystal
La 0.944 0.237 0.750
La 0.444 0.763 0.750
La 0.056 0.763 0.250
La 0.556 0.237 0.250
Ni 0.500 0.500 0.500
Ni 0.000 0.500 0.000
Ru 0.500 0.000 0.000
Ru 0.000 0.000 0.500
O 0.523 0.336 0.753
O 0.023 0.664 0.747
O 0.477 0.664 0.247
O 0.977 0.336 0.253
O 0.208 0.851 0.951
O 0.708 0.149 0.549
O 0.792 0.149 0.049
O 0.292 0.851 0.451
O 0.800 0.750 0.456
O 0.300 0.250 0.044
O 0.200 0.250 0.544
O 0.700 0.750 0.956
CELL_PARAMETERS angstrom
-1.068 -0.944 -5.571
-5.196 -1.508 1.252
-7.533 6.018 0.425
```

=====

No. 11
This record from Materials Project describes a relaxed La3NiWS3O6 crystal. The functional is PBE+U. Values from VASP.

Computed properties:
SG ... P6_3/m, No. 176
Energy ... -7.082 eV/atom
Energy of formation from the pure elements ... -2580 meV per atom
Total magnetic moment ... 2.420 μB/cell

```
&SYSTEM
  ibrav = 0, nat = 28, ntyp = 5
/
ATOMIC_SPECIES
La 138.91 La.upf
Ni 58.69 Ni.upf
W 183.84 W.upf
S 32.06 S.upf
O 16.00 O.upf
ATOMIC_POSITIONS crystal
La 0.405 0.315 0.250
La 0.685 0.090 0.250
La 0.910 0.595 0.250
La 0.595 0.685 0.750
La 0.315 0.910 0.750
La 0.090 0.405 0.750
Ni 0.000 0.000 0.500
Ni 0.000 0.000 0.000
W 0.667 0.333 0.750
W 0.333 0.667 0.250
S 0.953 0.775 0.750
S 0.225 0.178 0.750
S 0.822 0.047 0.750
S 0.047 0.225 0.250
S 0.775 0.822 0.250
S 0.178 0.953 0.250
O 0.635 0.475 0.522
O 0.525 0.161 0.522
O 0.839 0.365 0.522
O 0.365 0.525 0.022
O 0.475 0.839 0.022
O 0.161 0.635 0.022
O 0.365 0.525 0.478
O 0.475 0.839 0.478
O 0.161 0.635 0.478
O 0.635 0.475 0.978
O 0.525 0.161 0.978
O 0.839 0.365 0.978
CELL_PARAMETERS angstrom
-0.480 8.338 4.466
-0.012 -8.051 4.987
5.543 0.167 0.283
```